1.
The following is a DFT calculation (GGA-PBE) of a relaxed structure of BaCl2.

The structure in POSCAR format:
```
BaCl2
1.0
8.183 0.000 0.000
-4.091 7.086 0.000
0.000 0.000 4.716
Ba Cl
3 6
direct
0.000 0.000 0.000
0.333 0.667 0.500
0.667 0.333 0.500
0.000 0.407 0.000
0.000 0.743 0.500
0.257 0.257 0.500
0.407 0.000 0.000
0.593 0.593 0.000
0.743 0.000 0.500
```

Calculated values
ΔE_f = -2.938 eV/atom
V = 30.4 Å³ per atom
Maximum piezoelectric response = 0.90 C/m2
SG = P-62m (189)
E = -39.61 eV/cell

---

2.
The following is a DFT calculation (GGA-PBE) of a relaxed structure of HoCoGe.

The structure in POSCAR format:
```
HoCoGe
1.0
6.853 0.000 0.000
0.000 4.219 0.000
0.000 0.000 7.219
Ho Co Ge
4 4 4
direct
0.008 0.250 0.200
0.492 0.750 0.700
0.508 0.250 0.300
0.992 0.750 0.800
0.157 0.750 0.432
0.343 0.250 0.932
0.657 0.750 0.068
0.843 0.250 0.568
0.204 0.250 0.599
0.296 0.750 0.099
0.704 0.250 0.901
0.796 0.750 0.401
```

Calculated values
ΔE_f = -0.671 eV/atom
V = 17.4 Å³ per atom
SG = Pnma (62)
E = -73.30 eV/cell

---

3.
The following is a DFT calculation (GGA-PBE) of a relaxed structure of Ba4OF6.

The structure in POSCAR format:
```
Ba4OF6
1.0
8.791 0.000 0.000
0.000 8.791 0.000
0.000 0.000 6.330
Ba O F
8 2 12
direct
0.004 0.250 0.047
0.250 0.004 0.547
0.250 0.496 0.547
0.496 0.250 0.047
0.504 0.750 0.953
0.750 0.504 0.453
0.750 0.996 0.453
0.996 0.750 0.953
0.250 0.750 0.750
0.750 0.250 0.250
0.031 0.531 0.250
0.031 0.969 0.250
0.250 0.250 0.290
0.250 0.250 0.790
0.469 0.531 0.250
0.469 0.969 0.250
0.531 0.031 0.750
0.531 0.469 0.750
0.750 0.750 0.210
0.750 0.750 0.710
0.969 0.031 0.750
0.969 0.469 0.750
```

Calculated values
ΔE_f = -3.905 eV/atom
V = 22.2 Å³ per atom
SG = P4_2/nmc (137)
E = -127.21 eV/cell
ΔE to the lowest computed polymorph = 0.0 meV/atom

---

4.
The following is a DFT calculation (GGA-PBE) of a relaxed structure of CuO.

The structure in POSCAR format:
```
CuO
1.0
-4.389 4.389 1.837
4.389 -4.389 1.837
4.389 4.389 -1.837
Cu O
4 4
direct
0.167 0.167 0.335
0.167 0.833 0.000
0.833 0.167 0.000
0.833 0.833 0.665
0.000 0.273 0.273
0.000 0.727 0.727
0.273 0.000 0.273
0.727 0.000 0.727
```

Calculated values
ΔE_f = -0.353 eV/atom
V = 17.7 Å³ per atom
SG = I4/mmm (139)
E = -36.27 eV/cell

---

5.
The following is a DFT calculation (GGA-PBE) of a relaxed structure of MgSc2S4.

The structure in POSCAR format:
```
MgSc2S4
1.0
7.705 0.000 0.000
0.000 7.222 0.000
0.000 0.000 10.735
Mg Sc S
4 8 16
direct
0.171 0.250 0.109
0.329 0.750 0.609
0.671 0.250 0.391
0.829 0.750 0.891
0.030 0.750 0.200
0.062 0.250 0.492
0.438 0.750 0.992
0.470 0.250 0.700
0.530 0.750 0.300
0.562 0.250 0.008
0.938 0.750 0.508
0.970 0.250 0.800
0.098 0.517 0.661
0.098 0.983 0.661
0.119 0.750 0.974
0.230 0.750 0.387
0.270 0.250 0.887
0.381 0.250 0.474
0.402 0.017 0.161
0.402 0.483 0.161
0.598 0.517 0.839
0.598 0.983 0.839
0.619 0.750 0.526
0.730 0.750 0.113
0.770 0.250 0.613
0.881 0.250 0.026
0.902 0.017 0.339
0.902 0.483 0.339
```

Calculated values
ΔE_f = -1.773 eV/atom
V = 21.3 Å³ per atom
SG = Pnma (62)
E = -164.85 eV/cell
ΔE to the lowest computed polymorph = 296.3 meV/atom

---

6.
The following is a DFT calculation (GGA-PBE) of a relaxed structure of Li3Pm.

The structure in POSCAR format:
```
Li3Pm
1.0
6.704 0.000 0.000
-3.352 5.806 0.000
0.000 0.000 5.080
Li Pm
6 2
direct
0.148 0.296 0.250
0.148 0.852 0.250
0.296 0.148 0.750
0.704 0.852 0.250
0.852 0.148 0.750
0.852 0.704 0.750
0.333 0.667 0.750
0.667 0.333 0.250
```

Calculated values
ΔE_f = 0.200 eV/atom
V = 24.7 Å³ per atom
SG = P6_3/mmc (194)
E = -19.35 eV/cell
ΔE to the lowest computed polymorph = 0.0 meV/atom